# 1
K9Bi5O13 (PBE, optimized geometry); space-group type = P2_1/c (14); mass density = 4.7 g/cm3; final energy = -0.355 Ry per atom
1.0
15.377 0.000 0.000
0.000 5.823 0.000
-9.811 0.000 25.516
K Bi O
36 20 52
Direct
0.025 0.241 0.200
0.025 0.259 0.700
0.059 0.731 0.614
0.059 0.769 0.114
0.142 0.745 0.940
0.142 0.755 0.440
0.202 0.750 0.260
0.202 0.750 0.760
0.268 0.749 0.081
0.268 0.751 0.581
0.306 0.244 0.003
0.306 0.256 0.503
0.329 0.686 0.400
0.329 0.814 0.900
0.378 0.236 0.302
0.378 0.264 0.802
0.411 0.746 0.718
0.411 0.754 0.218
0.589 0.246 0.782
0.589 0.254 0.282
0.622 0.736 0.198
0.622 0.764 0.698
0.671 0.186 0.100
0.671 0.314 0.600
0.694 0.744 0.497
0.694 0.756 0.997
0.732 0.249 0.419
0.732 0.251 0.919
0.798 0.250 0.240
0.798 0.250 0.740
0.858 0.245 0.560
0.858 0.255 0.060
0.941 0.231 0.886
0.941 0.269 0.386
0.975 0.741 0.300
0.975 0.759 0.800
0.077 0.221 0.531
0.077 0.279 0.031
0.137 0.203 0.337
0.137 0.297 0.837
0.239 0.243 0.161
0.239 0.257 0.661
0.461 0.239 0.635
0.461 0.261 0.135
0.475 0.701 0.041
0.475 0.799 0.541
0.525 0.201 0.459
0.525 0.299 0.959
0.539 0.739 0.865
0.539 0.761 0.365
0.761 0.743 0.339
0.761 0.757 0.839
0.863 0.703 0.163
0.863 0.797 0.663
0.923 0.721 0.969
0.923 0.779 0.469
0.004 0.744 0.699
0.004 0.756 0.199
0.056 0.230 0.603
0.056 0.270 0.103
0.084 0.639 0.021
0.084 0.861 0.521
0.158 0.643 0.846
0.158 0.857 0.346
0.182 0.161 0.911
0.182 0.339 0.411
0.200 0.200 0.786
0.200 0.300 0.286
0.234 0.608 0.670
0.234 0.892 0.170
0.236 0.243 0.582
0.236 0.257 0.082
0.333 0.737 0.001
0.333 0.763 0.501
0.397 0.231 0.697
0.397 0.269 0.197
0.400 0.736 0.315
0.400 0.764 0.815
0.457 0.624 0.123
0.457 0.876 0.623
0.491 0.163 0.538
0.491 0.337 0.038
0.509 0.663 0.962
0.509 0.837 0.462
0.543 0.124 0.377
0.543 0.376 0.877
0.600 0.236 0.185
0.600 0.264 0.685
0.603 0.731 0.803
0.603 0.769 0.303
0.667 0.237 0.499
0.667 0.263 0.999
0.764 0.743 0.918
0.764 0.757 0.418
0.766 0.108 0.830
0.766 0.392 0.330
0.800 0.700 0.714
0.800 0.800 0.214
0.818 0.661 0.589
0.818 0.839 0.089
0.842 0.143 0.654
0.842 0.357 0.154
0.916 0.139 0.479
0.916 0.361 0.979
0.944 0.730 0.897
0.944 0.770 0.397
0.996 0.244 0.801
0.996 0.256 0.301

# 2
K6Bi6O19 (PBE, optimized geometry); space-group type = C2 (5); mass density = 5.5 g/cm3; final energy = -0.370 Ry per atom
1.0
7.140 -5.120 0.000
7.140 5.120 0.000
-7.138 0.000 7.340
K Bi O
6 6 19
Direct
0.131 0.131 0.264
0.471 0.146 0.995
0.510 0.160 0.665
0.840 0.490 0.335
0.854 0.529 0.005
0.869 0.869 0.736
0.002 0.316 0.661
0.184 0.816 0.500
0.341 0.653 0.158
0.347 0.659 0.842
0.502 0.498 0.500
0.684 0.998 0.339
0.135 0.444 0.624
0.140 0.431 0.949
0.174 0.816 0.281
0.184 0.826 0.719
0.203 0.519 0.367
0.206 0.794 0.000
0.218 0.108 0.654
0.464 0.204 0.337
0.481 0.797 0.633
0.485 0.515 0.000
0.507 0.491 0.711
0.509 0.493 0.289
0.556 0.865 0.376
0.569 0.860 0.051
0.796 0.536 0.663
0.800 0.200 0.000
0.834 0.157 0.635
0.843 0.166 0.365
0.892 0.782 0.346